Material: Cs2CoI4
Method: DFT, PBE
State: optimized geometry

Summary:
total magnetization = 3.9 μB/cell
energy of formation from the pure elements = -1.06 eV per atom
space group = No. 62
energy = -0.2195 Ry per atom

a b c (Å): 11.131 8.366 14.645
angles (deg): 90.00 90.00 90.00
Atoms (fractional coordinates):
Cs 0.023 0.250 0.164
Cs 0.132 0.750 0.398
Cs 0.368 0.250 0.898
Cs 0.477 0.750 0.664
Cs 0.523 0.250 0.336
Cs 0.632 0.750 0.102
Cs 0.868 0.250 0.602
Cs 0.977 0.750 0.836
Co 0.239 0.750 0.078
Co 0.261 0.250 0.578
Co 0.739 0.750 0.422
Co 0.761 0.250 0.922
I 0.008 0.750 0.102
I 0.171 0.503 0.651
I 0.171 0.997 0.651
I 0.188 0.250 0.409
I 0.312 0.750 0.909
I 0.329 0.003 0.151
I 0.329 0.497 0.151
I 0.492 0.250 0.602
I 0.508 0.750 0.398
I 0.671 0.503 0.849
I 0.671 0.997 0.849
I 0.688 0.250 0.091
I 0.812 0.750 0.591
I 0.829 0.003 0.349
I 0.829 0.497 0.349
I 0.992 0.250 0.898